## w
V2OF5, relaxed, DFT PBE with a Hubbard U; symmetry = P1, No. 1
1.0
5.275 0.000 0.000
2.619 4.766 0.000
2.468 -0.969 17.163
V O F
8 4 20
Direct
0.000 0.000 0.000
0.003 0.499 0.501
0.255 0.370 0.128
0.260 0.880 0.633
0.489 0.780 0.247
0.503 0.232 0.751
0.754 0.589 0.881
0.760 0.147 0.382
0.312 0.054 0.192
0.335 0.027 0.706
0.797 0.315 0.935
0.836 0.293 0.453
0.174 0.715 0.544
0.176 0.413 0.838
0.178 0.909 0.338
0.186 0.201 0.039
0.224 0.682 0.064
0.232 0.176 0.561
0.275 0.556 0.689
0.324 0.551 0.214
0.329 0.825 0.913
0.332 0.344 0.413
0.676 0.456 0.788
0.677 0.648 0.588
0.683 0.958 0.295
0.685 0.168 0.088
0.718 0.441 0.308
0.721 0.920 0.816
0.777 0.824 0.440
0.823 0.787 0.963
0.827 0.585 0.165
0.832 0.080 0.664

## x
V2OF5, relaxed, DFT PBE with a Hubbard U; symmetry = P1, No. 1
1.0
5.198 0.000 0.000
0.000 5.418 0.000
2.593 2.091 10.992
V O F
6 3 15
Direct
0.000 0.000 0.000
0.143 0.162 0.676
0.331 0.336 0.327
0.501 0.507 0.987
0.662 0.681 0.638
0.842 0.842 0.316
0.665 0.754 0.491
0.993 0.921 0.157
0.999 0.089 0.823
0.014 0.122 0.360
0.118 0.621 0.358
0.216 0.721 0.955
0.308 0.421 0.157
0.319 0.222 0.956
0.343 0.252 0.496
0.348 0.456 0.691
0.450 0.955 0.691
0.542 0.055 0.292
0.646 0.552 0.291
0.678 0.789 0.022
0.682 0.591 0.818
0.780 0.291 0.024
0.882 0.387 0.624
0.983 0.888 0.624

Stability check: which of them is least stable? x.

## w
V2OF5, relaxed, DFT PBE with a Hubbard U; symmetry = P1, No. 1
1.0
5.260 0.000 0.000
2.625 4.756 0.000
2.614 0.942 17.166
V O F
8 4 20
Direct
0.000 0.000 0.000
0.080 0.136 0.636
0.193 0.293 0.249
0.347 0.411 0.881
0.464 0.516 0.504
0.606 0.641 0.131
0.724 0.784 0.753
0.825 0.927 0.384
0.231 0.727 0.945
0.732 0.199 0.439
0.936 0.990 0.708
0.978 0.438 0.177
0.009 0.057 0.293
0.012 0.458 0.692
0.180 0.844 0.564
0.193 0.233 0.969
0.209 0.860 0.092
0.222 0.692 0.417
0.243 0.310 0.547
0.430 0.487 0.218
0.438 0.094 0.818
0.454 0.108 0.337
0.480 0.938 0.665
0.503 0.967 0.192
0.509 0.570 0.792
0.680 0.729 0.465
0.703 0.368 0.591
0.704 0.328 0.065
0.738 0.199 0.918
0.754 0.821 0.043
0.938 0.590 0.322
0.958 0.614 0.842

## x
V2OF5, relaxed, DFT PBE with a Hubbard U; symmetry = P1, No. 1
1.0
5.261 0.000 0.000
2.611 4.771 0.000
2.340 -1.074 17.200
V O F
8 4 20
Direct
0.000 0.000 0.000
0.003 0.524 0.503
0.234 0.353 0.120
0.247 0.879 0.622
0.498 0.739 0.248
0.504 0.264 0.754
0.731 0.154 0.368
0.745 0.620 0.872
0.078 0.673 0.575
0.091 0.169 0.082
0.555 0.425 0.313
0.580 0.412 0.826
0.021 0.202 0.561
0.021 0.687 0.062
0.073 0.956 0.286
0.075 0.468 0.784
0.416 0.573 0.161
0.419 0.094 0.665
0.422 0.288 0.459
0.423 0.777 0.960
0.468 0.061 0.186
0.476 0.556 0.682
0.516 0.944 0.811
0.569 0.919 0.335
0.574 0.217 0.037
0.575 0.721 0.534
0.916 0.839 0.912
0.920 0.030 0.709
0.926 0.335 0.416
0.927 0.537 0.210
0.960 0.818 0.430
0.976 0.308 0.933

Stability check: which of them is least stable? x.

## w
V2O3F, relaxed, DFT PBE with a Hubbard U; symmetry = C2/m, No. 12
1.0
4.493 -3.269 0.000
4.493 3.269 0.000
-0.432 0.000 8.954
V O F
8 12 4
Direct
0.000 0.000 0.000
0.103 0.103 0.636
0.258 0.258 0.237
0.358 0.358 0.854
0.500 0.500 0.500
0.642 0.642 0.146
0.742 0.742 0.763
0.897 0.897 0.364
0.029 0.029 0.220
0.051 0.438 0.741
0.193 0.807 0.500
0.228 0.228 0.015
0.438 0.051 0.741
0.481 0.481 0.271
0.519 0.519 0.729
0.562 0.949 0.259
0.772 0.772 0.985
0.807 0.193 0.500
0.949 0.562 0.259
0.971 0.971 0.780
0.271 0.271 0.472
0.310 0.690 0.000
0.690 0.310 0.000
0.729 0.729 0.528

## x
V2O3F, relaxed, DFT PBE with a Hubbard U; symmetry = C2/m, No. 12
1.0
4.688 -3.000 0.000
4.688 3.000 0.000
-0.150 0.000 4.684
V O F
4 6 2
Direct
0.000 0.000 0.000
0.000 0.500 0.500
0.500 0.000 0.500
0.500 0.500 0.000
0.152 0.657 0.807
0.155 0.155 0.695
0.343 0.848 0.193
0.657 0.152 0.807
0.845 0.845 0.305
0.848 0.343 0.193
0.351 0.351 0.296
0.649 0.649 0.704

## y
V2O3F, relaxed, DFT PBE with a Hubbard U; symmetry = Amm2, No. 38
1.0
15.242 0.000 0.000
0.000 3.194 3.398
0.000 -3.194 3.398
V O F
10 15 5
Direct
0.000 0.000 0.000
0.099 0.470 0.470
0.201 0.024 0.024
0.299 0.486 0.486
0.400 0.946 0.946
0.500 0.493 0.493
0.600 0.946 0.946
0.701 0.486 0.486
0.799 0.024 0.024
0.901 0.470 0.470
0.000 0.292 0.292
0.103 0.192 0.788
0.103 0.788 0.192
0.200 0.289 0.289
0.300 0.178 0.794
0.300 0.794 0.178
0.399 0.683 0.683
0.500 0.177 0.792
0.500 0.792 0.177
0.601 0.683 0.683
0.700 0.178 0.794
0.700 0.794 0.178
0.800 0.289 0.289
0.897 0.192 0.788
0.897 0.788 0.192
0.000 0.686 0.686
0.199 0.686 0.686
0.400 0.285 0.285
0.600 0.285 0.285
0.801 0.686 0.686

Stability check: which of them is least stable? x.

## w
V2O3F, relaxed, DFT PBE with a Hubbard U; symmetry = Amm2, No. 38
1.0
15.055 0.000 0.000
0.000 3.206 3.472
0.000 -3.206 3.472
V O F
10 15 5
Direct
0.000 0.000 0.000
0.100 0.451 0.451
0.200 0.901 0.901
0.300 0.449 0.449
0.399 0.995 0.995
0.500 0.445 0.445
0.601 0.995 0.995
0.700 0.449 0.449
0.800 0.901 0.901
0.900 0.451 0.451
0.000 0.257 0.257
0.100 0.143 0.759
0.100 0.759 0.143
0.200 0.645 0.645
0.300 0.141 0.757
0.300 0.757 0.141
0.400 0.253 0.253
0.500 0.148 0.762
0.500 0.762 0.148
0.600 0.253 0.253
0.700 0.141 0.757
0.700 0.757 0.141
0.800 0.645 0.645
0.900 0.143 0.759
0.900 0.759 0.143
0.000 0.650 0.650
0.200 0.252 0.252
0.400 0.649 0.649
0.600 0.649 0.649
0.800 0.252 0.252

## x
V2O3F, relaxed, DFT PBE with a Hubbard U; symmetry = Amm2, No. 38
1.0
2.989 0.000 0.000
0.000 6.499 0.000
0.000 0.000 6.796
V O F
4 6 2
Direct
0.000 0.000 0.000
0.000 0.500 0.500
0.500 0.000 0.461
0.500 0.500 0.961
0.000 0.000 0.276
0.000 0.500 0.776
0.500 0.196 0.980
0.500 0.304 0.480
0.500 0.696 0.480
0.500 0.804 0.980
0.000 0.000 0.677
0.000 0.500 0.177

## y
V2O3F, relaxed, DFT PBE with a Hubbard U; symmetry = P1, No. 1
1.0
4.689 0.000 0.000
0.019 6.054 0.000
0.361 2.986 9.381
V O F
8 12 4
Direct
0.000 0.000 0.000
0.007 0.515 0.993
0.436 0.900 0.722
0.488 0.633 0.237
0.526 0.148 0.248
0.535 0.366 0.770
0.932 0.757 0.496
0.976 0.261 0.489
0.176 0.953 0.591
0.190 0.712 0.093
0.297 0.088 0.839
0.300 0.318 0.341
0.304 0.587 0.838
0.673 0.185 0.646
0.676 0.950 0.150
0.684 0.683 0.648
0.705 0.427 0.142
0.788 0.051 0.399
0.793 0.571 0.392
0.804 0.305 0.895
0.176 0.469 0.589
0.206 0.211 0.096
0.279 0.839 0.349
0.792 0.811 0.891

Stability check: which of them is least stable? x.